# TaZn2 | the Materials Project database | r2SCAN | optimized geometry
data_TaZn2
_chemical_formula_sum 'Ta8 Zn16'
_cell_length_a 5.0004
_cell_length_b 5.0004
_cell_length_c 16.1895
_cell_angle_alpha 90.00
_cell_angle_beta 90.00
_cell_angle_gamma 120.00
_symmetry_space_group_name_H-M 'P 1'
_symmetry_Int_Tables_number 1
_symmetry_space_group_name_Hall 'P 1'
loop_
_atom_site_label
_atom_site_type_symbol
_atom_site_fract_x
_atom_site_fract_y
_atom_site_fract_z
_atom_site_occupancy
Ta1 Ta 0.0000 0.0000 0.5915 1
Ta2 Ta 0.0000 0.0000 0.4086 1
Ta3 Ta 0.0000 0.0000 0.0913 1
Ta4 Ta 0.3333 0.6667 0.6565 1
Ta5 Ta 0.0000 0.0000 0.9086 1
Ta6 Ta 0.3333 0.6667 0.8436 1
Ta7 Ta 0.6667 0.3333 0.1563 1
Ta8 Ta 0.6667 0.3333 0.3435 1
Zn1 Zn 0.6784 0.8391 0.2499 1
Zn2 Zn 0.6666 0.3334 0.6270 1
Zn3 Zn 0.5000 0.5000 0.5001 1
Zn4 Zn 0.3333 0.6666 0.3732 1
Zn5 Zn 0.8391 0.6785 0.7501 1
Zn6 Zn 0.3333 0.6666 0.1267 1
Zn7 Zn 0.0000 0.5000 0.9999 1
Zn8 Zn 0.3215 0.1607 0.7501 1
Zn9 Zn 0.1608 0.8392 0.2499 1
Zn10 Zn 0.1608 0.3215 0.2499 1
Zn11 Zn 0.5000 0.5000 0.9999 1
Zn12 Zn 0.5000 0.0000 0.9999 1
Zn13 Zn 0.0000 0.5000 0.5001 1
Zn14 Zn 0.8392 0.1609 0.7501 1
Zn15 Zn 0.5000 0.0000 0.5001 1
Zn16 Zn 0.6666 0.3334 0.8731 1
# energy relative to the elements = -0.14 eV per atom
# space group = P6_3/mmc


# Tb | the Materials Project database | r2SCAN | optimized geometry
data_Tb
_chemical_formula_sum 'Tb1'
_cell_length_a 3.4830
_cell_length_b 3.4830
_cell_length_c 3.4830
_cell_angle_alpha 109.47
_cell_angle_beta 109.47
_cell_angle_gamma 109.47
_symmetry_space_group_name_H-M 'P 1'
_symmetry_Int_Tables_number 1
_symmetry_space_group_name_Hall 'P 1'
loop_
_atom_site_label
_atom_site_type_symbol
_atom_site_fract_x
_atom_site_fract_y
_atom_site_fract_z
_atom_site_occupancy
Tb1 Tb 0.0000 0.0000 0.0000 1
# energy relative to the elements = 0.12 eV per atom
# space group = Im-3m